No. 1
The following is a PBE+U calculation of crystalline SmFeO3 at its relaxed geometry, from Materials Project.

The space-group type is Pnma (62). For the formation energy, the calculation gives -2804 meV per atom. As for the electronic total energy: -7.547 eV/atom.

Structure (POSCAR):
```
SmFeO3
1.0
5.449 0.000 0.000
0.000 5.680 0.000
0.000 0.000 7.815
Sm Fe O
4 4 12
Cartesian
2.808 3.184 1.954
5.366 0.344 1.954
2.641 2.497 5.861
0.083 5.337 5.861
2.725 0.000 0.000
0.000 2.840 3.907
2.725 0.000 3.907
0.000 2.840 0.000
2.166 5.489 1.954
0.559 2.649 1.954
3.283 0.191 5.861
4.890 3.032 5.861
4.372 4.550 0.419
3.802 1.710 3.488
1.077 1.131 4.326
1.647 3.971 7.396
1.077 1.131 7.396
1.647 3.971 4.326
4.372 4.550 3.488
3.802 1.710 0.419
```

---

No. 2
The following is a PBE+U calculation of crystalline MnSiO3 at its relaxed geometry, from Materials Project.

The space-group type is P-1 (2). For the formation energy, the calculation gives -2489 meV per atom. As for the electronic total energy: -7.629 eV/atom.

Structure (POSCAR):
```
MnSiO3
1.0
-6.480 0.000 0.000
1.432 8.001 0.000
-0.077 -2.834 -12.086
Mn Si O
10 10 30
Cartesian
-0.237 0.588 -2.994
-0.020 5.857 -2.287
-5.105 -0.691 -9.799
-5.325 -0.208 -5.951
-3.402 1.510 -7.860
0.200 5.374 -6.134
-1.723 3.656 -4.226
0.000 0.000 0.000
-4.889 4.578 -9.092
-3.240 0.000 0.000
-0.900 3.059 -0.856
-1.944 2.159 -10.633
-1.883 0.714 -5.476
-3.243 4.453 -6.609
-0.260 2.216 -7.831
-4.225 2.107 -11.230
-1.818 -0.819 -10.059
-4.865 2.950 -4.255
-3.307 5.985 -2.027
-3.181 3.008 -1.452
0.050 7.597 -1.484
-1.922 -2.201 -10.919
-1.443 3.323 -11.606
-5.316 1.393 -4.257
-5.498 1.156 -7.730
-3.841 3.201 -2.932
-5.215 0.971 -10.721
-4.651 6.174 -2.917
-3.203 7.368 -1.167
-0.052 1.683 -0.906
-3.322 0.295 -6.105
-1.493 0.505 -11.234
-5.073 3.483 -11.180
-1.797 1.538 -4.055
-1.285 1.966 -9.154
-3.632 4.662 -0.851
-0.879 -0.578 -5.354
-1.804 4.872 -5.981
-0.474 -1.008 -9.169
-3.683 1.844 -0.479
0.191 3.773 -7.828
-5.175 -2.430 -10.601
-4.247 5.745 -6.731
0.090 4.195 -1.365
-3.328 3.629 -8.031
-3.784 3.339 -5.453
0.373 4.011 -4.355
-1.342 1.827 -6.633
-1.943 5.554 -2.809
-3.182 -0.388 -9.277
```

---

No. 3
The following is a PBE+U calculation of crystalline MgMn4O2F8 at its relaxed geometry, from Materials Project.

The space-group type is P1 (1). For the formation energy, the calculation gives -2736 meV per atom. As for the electronic total energy: -6.184 eV/atom.

Structure (POSCAR):
```
MgMn4O2F8
1.0
-2.777 1.021 0.947
-0.803 -4.438 -2.652
0.950 -7.078 10.439
Mg Mn O F
1 4 2 8
Cartesian
-2.618 -2.714 0.345
-0.045 -2.307 2.365
-0.190 -8.171 8.277
-2.184 -4.441 3.493
-2.595 -7.644 5.747
-0.757 -7.965 6.388
-2.037 -2.939 2.299
-0.743 -2.030 0.012
-0.204 -4.121 3.853
-1.768 -4.537 -0.293
-1.459 -5.759 1.963
-1.056 -6.496 9.023
-0.936 -4.202 6.890
-2.290 -5.862 4.718
-2.023 -9.089 8.988
```

---

No. 4
The following is a PBE+U calculation of crystalline NiS2O8 at its relaxed geometry, from Materials Project.

The space-group type is Pbca (61). For the formation energy, the calculation gives -1405 meV per atom. As for the electronic total energy: -5.551 eV/atom.

Structure (POSCAR):
```
NiS2O8
1.0
-5.402 -6.628 -1.695
6.080 -5.720 2.991
-5.040 0.999 12.157
Ni S O
8 16 64
Cartesian
-0.240 -10.734 2.555
-1.179 -8.295 9.130
1.130 -6.167 2.748
0.191 -3.728 9.322
-4.553 -7.622 4.130
-5.492 -5.182 10.705
-3.183 -3.055 4.323
-4.122 -0.616 10.897
1.459 -8.827 4.505
-3.052 -10.771 9.959
0.971 -6.391 7.947
-0.888 -5.081 14.233
-2.852 -8.650 6.548
-4.711 -7.339 12.833
2.016 -3.496 4.298
-2.495 -5.439 9.752
-1.867 -5.910 3.701
-6.378 -7.854 9.154
0.349 -4.010 0.619
-1.510 -2.700 6.905
-3.474 -6.269 -0.780
-5.333 -4.959 5.506
-5.822 -2.523 8.947
-1.310 -0.579 3.494
-3.931 -1.535 5.316
-5.967 -0.442 11.547
4.135 -5.278 7.248
-1.035 -8.030 12.495
1.417 -8.776 6.035
-3.478 -11.191 11.368
0.462 -9.937 4.229
-2.170 -9.575 10.272
3.016 -6.418 3.011
0.802 -5.544 9.185
4.670 -4.722 2.524
-0.296 -7.224 7.835
-4.353 -10.251 9.366
0.811 -7.506 4.117
1.115 -5.692 6.712
-1.216 -4.960 12.850
-1.654 -8.942 5.831
-3.985 -8.211 11.969
3.325 -4.016 4.873
-1.839 -6.761 10.121
-3.612 -9.959 6.685
1.354 -7.458 1.374
-0.471 -8.993 1.777
-2.686 -8.119 7.951
1.102 -4.685 4.063
-1.530 -4.323 10.106
-3.544 -5.274 10.855
1.351 -2.859 5.522
-1.355 -5.968 5.029
-6.525 -8.720 10.275
-3.713 -7.596 5.905
-5.749 -6.503 12.135
1.387 -4.847 1.318
-0.649 -3.754 7.548
-3.007 -5.382 8.424
2.163 -2.629 3.177
-0.818 -6.076 2.598
-5.713 -8.490 7.931
-2.832 -7.027 3.346
-5.464 -6.665 9.390
-1.676 -3.231 5.502
-3.891 -2.357 11.676
-5.716 -3.892 12.079
-0.750 -1.390 6.768
-2.523 -4.588 3.331
-7.687 -7.333 8.580
-0.377 -3.139 1.483
-2.708 -2.407 7.621
-3.146 -6.389 0.603
-5.477 -5.658 6.740
-5.173 -3.843 9.336
-0.009 -1.098 4.087
-4.066 -4.126 5.618
-9.032 -6.628 10.929
-5.164 -5.805 4.268
-7.379 -4.931 10.442
-4.824 -1.412 9.224
-2.192 -1.774 3.180
-5.779 -2.573 7.417
-0.884 -0.159 2.084
-8.497 -6.072 6.205
-3.327 -3.320 0.958
1.605 -10.907 1.906
-0.432 -9.814 8.136
```

---

No. 5
The following is a PBE+U calculation of crystalline K2SmMoPO8 at its relaxed geometry, from Materials Project.

The space-group type is Ibca (73). For the formation energy, the calculation gives -2814 meV per atom. As for the electronic total energy: -6.974 eV/atom.

Structure (POSCAR):
```
K2SmMoPO8
1.0
-3.550 6.241 10.012
3.550 -6.241 10.012
3.550 6.241 -10.012
K Sm Mo P O
8 4 4 4 32
Cartesian
0.242 0.984 13.131
3.307 0.984 6.893
3.792 5.257 6.893
3.307 -0.984 3.119
3.307 5.257 -3.119
0.242 5.257 3.119
-0.242 0.984 3.119
0.242 7.225 6.893
1.775 -2.168 10.012
1.775 2.168 0.000
1.775 8.409 0.000
1.775 4.073 10.012
3.550 3.121 3.352
3.550 -3.121 6.660
0.000 3.121 6.660
0.000 9.362 3.352
1.775 0.897 10.012
-1.775 5.344 10.012
1.775 5.344 0.000
5.324 0.897 0.000
2.978 1.878 9.815
0.572 1.878 10.209
-0.572 4.363 10.209
0.572 10.604 -0.197
0.572 4.363 0.197
2.978 4.363 -0.197
4.121 1.878 -0.197
2.978 -4.363 10.209
1.942 -0.028 11.240
1.608 -0.028 8.784
-1.608 6.269 8.784
1.608 0.028 1.228
1.608 6.269 -1.228
1.942 6.269 1.228
5.157 -0.028 1.228
1.942 6.213 8.784
5.001 3.514 2.329
2.098 -2.727 7.683
1.451 2.727 -2.329
2.098 2.727 2.329
-1.451 2.727 7.683
1.451 8.968 2.329
2.098 3.514 12.341
1.451 3.514 7.683
3.133 4.531 4.362
3.966 -1.710 5.650
-0.416 1.710 15.662
3.966 1.710 4.362
0.416 1.710 5.650
-0.416 7.951 4.362
3.966 4.531 -5.650
-0.416 4.531 5.650
```

---

No. 6
The following is a PBE+U calculation of crystalline Rb2Mo6H2Cl14O at its relaxed geometry, from Materials Project.

The space-group type is Cc (9). For the formation energy, the calculation gives -634 meV per atom. As for the electronic total energy: -4.023 eV/atom.

Structure (POSCAR):
```
Rb2Mo6H2Cl14O
1.0
-0.182 -11.460 -6.768
4.018 -8.890 9.056
-7.939 -5.708 3.034
Rb Mo H Cl O
4 12 4 28 2
Cartesian
-4.279 -14.594 2.587
0.135 -11.467 2.746
3.633 -9.160 8.454
-4.175 -14.363 -4.490
-4.977 -10.514 -0.806
0.848 -6.524 4.669
-2.307 -16.788 6.447
0.158 -14.855 -0.737
-1.788 -9.228 -1.226
-4.209 -11.134 6.126
-4.306 -7.314 0.141
0.723 -3.812 2.617
0.188 -18.692 5.125
-4.817 -22.179 2.743
0.870 -15.501 6.074
-4.931 -19.476 0.686
1.017 -10.020 6.319
-5.353 -14.344 -1.211
1.710 -11.410 6.449
-4.702 -15.760 -1.241
-4.526 -16.281 5.532
-1.373 -13.927 0.940
-3.891 -9.552 1.252
0.723 -6.303 2.164
-0.656 -14.244 7.643
0.819 -12.917 -3.274
0.549 -20.215 3.249
-3.474 -23.102 4.564
-2.773 -11.553 -1.470
-4.767 -13.197 7.492
1.709 -13.515 4.986
-3.830 -17.330 0.587
-1.430 -6.731 -1.146
-4.132 -8.809 5.147
-5.842 -12.511 0.255
-0.262 -8.671 4.806
-1.048 -15.828 4.462
-5.798 -19.159 3.039
-1.860 -19.945 5.965
1.030 -17.752 0.379
0.366 -9.889 -0.249
-2.753 -12.222 4.474
-2.952 -17.903 8.641
-1.378 -16.515 -1.901
2.197 -17.187 4.752
-3.003 -20.794 1.632
-4.902 -6.102 2.182
-0.880 -3.216 0.867
1.703 -10.508 6.821
-4.960 -15.011 -1.812
```

---

No. 7
The following is a PBE+U calculation of crystalline Cu3NiP2O9 at its relaxed geometry, from Materials Project.

The space-group type is P2_1/c (14). For the formation energy, the calculation gives -1803 meV per atom. As for the electronic total energy: -6.117 eV/atom.

Structure (POSCAR):
```
Cu3NiP2O9
1.0
10.001 0.000 0.000
0.000 8.316 0.000
0.000 5.862 7.958
Cu Ni P O
12 4 8 36
Cartesian
3.929 4.204 0.990
1.072 7.135 4.969
6.072 9.974 6.968
8.929 7.043 2.989
3.116 10.578 6.000
1.884 7.647 2.021
6.885 3.600 1.958
8.116 6.531 5.937
4.448 12.952 7.178
0.552 10.021 3.199
5.552 1.226 0.780
9.449 4.157 4.759
3.609 5.177 3.972
1.391 8.108 7.951
6.391 9.001 3.986
8.610 6.070 0.007
1.000 4.728 2.051
4.000 7.659 6.030
9.000 9.449 5.907
6.000 6.519 1.928
1.597 13.116 6.892
3.403 10.186 2.913
8.403 1.061 1.066
6.597 3.992 5.045
4.736 5.793 2.393
0.264 8.724 6.372
5.265 8.385 5.565
9.736 5.454 1.586
3.671 3.401 2.778
1.330 6.332 6.757
6.330 10.776 5.180
8.671 7.846 1.201
5.251 4.745 5.159
9.750 1.814 1.180
4.750 9.433 2.799
0.251 12.363 6.778
3.229 6.999 4.854
1.771 4.068 0.875
6.772 7.179 3.104
8.229 10.110 7.083
1.946 5.757 2.781
3.054 8.688 6.760
8.055 8.420 5.177
6.946 5.490 1.198
2.545 4.273 5.731
2.455 1.343 1.752
7.456 9.904 2.228
7.545 12.835 6.207
4.386 11.053 7.353
0.614 8.123 3.374
5.615 3.125 0.605
9.386 6.055 4.585
4.375 6.610 7.130
0.625 3.679 3.151
5.626 7.568 0.828
9.375 10.499 4.807
2.375 7.017 0.253
2.625 9.947 4.232
7.625 7.161 7.706
7.376 4.231 3.727
```

---

No. 8
The following is a PBE+U calculation of crystalline Li3Cr2Ni2O8 at its relaxed geometry, from Materials Project.

The space-group type is C2/m (12). For the formation energy, the calculation gives -1850 meV per atom. As for the electronic total energy: -5.956 eV/atom.

Structure (POSCAR):
```
Li3Cr2Ni2O8
1.0
2.954 5.019 0.000
-2.954 5.019 0.000
0.000 3.321 4.804
Li Cr Ni O
3 2 2 8
Cartesian
-1.477 4.170 2.402
0.000 5.019 0.000
1.477 4.170 2.402
1.477 2.509 0.000
-1.477 2.509 0.000
0.000 1.660 2.402
0.000 0.000 0.000
1.647 7.496 3.715
0.000 4.912 3.763
-1.647 7.496 3.715
0.000 3.286 1.103
0.000 10.073 3.701
1.647 5.862 1.088
0.000 8.446 1.041
-1.647 5.862 1.088
```

---

No. 9
The following is a PBE+U calculation of crystalline MgFe4P4O16 at its relaxed geometry, from Materials Project.

The space-group type is P-1 (2). For the formation energy, the calculation gives -2394 meV per atom. As for the electronic total energy: -7.045 eV/atom.

Structure (POSCAR):
```
MgFe4P4O16
1.0
-5.640 -8.005 2.724
4.926 -3.403 0.170
0.561 0.980 4.754
Mg Fe P O
1 4 4 16
Cartesian
-5.640 -8.005 2.724
-2.762 -6.483 4.599
-0.307 -8.185 2.206
0.154 -2.243 5.442
2.610 -3.945 3.049
0.882 -1.226 2.260
1.937 -4.912 5.606
-2.090 -5.515 2.042
-1.034 -9.202 5.387
1.049 -6.175 5.548
-1.042 -9.472 3.864
0.425 -9.233 6.041
-1.474 -7.770 5.771
3.864 -2.285 3.480
0.889 -0.956 3.784
-0.578 -1.195 1.607
1.321 -2.658 1.876
1.267 -3.745 4.759
-1.419 -6.683 2.889
1.621 -5.481 2.285
-1.201 -4.253 2.099
-4.016 -8.143 4.168
-1.774 -4.947 5.363
-3.438 -5.277 2.840
3.285 -5.151 4.808
```